# 1
Fe3PtN: relaxed, GGA-PBE.

```
Fe3PtN
1.0
3.860 0.000 0.000
0.000 3.860 0.000
0.000 0.000 3.860
Fe Pt N
3 1 1
Cartesian
0.000 0.000 1.930
0.000 1.930 0.000
1.930 0.000 0.000
1.930 1.930 1.930
0.000 0.000 0.000
```

Output
final energy = -8.14 eV/atom
excess energy over the best structure of this formula in the dataset = 0.000 eV/atom
energy of formation = -0.252 eV per atom

# 2
Mg3Si2H4O9: relaxed, GGA-PBE.

```
Mg3Si2H4O9
1.0
5.371 0.000 0.000
-2.686 4.652 0.000
0.000 0.000 14.807
Mg Si H O
6 4 8 18
Cartesian
-0.890 1.541 0.000
-1.796 3.111 7.404
1.779 0.000 0.000
0.890 1.541 7.404
3.592 0.000 7.404
1.796 3.111 0.000
0.000 3.101 4.586
0.000 3.101 11.990
2.686 1.551 4.586
2.686 1.551 11.990
0.000 0.000 5.332
0.000 0.000 12.735
-0.943 1.634 9.351
-1.743 3.018 1.947
1.886 0.000 9.351
0.943 1.634 1.947
3.485 0.000 1.947
1.743 3.018 9.351
0.000 0.000 6.298
0.000 0.000 13.702
-0.903 1.564 8.383
-1.311 2.271 11.377
-1.375 2.381 3.973
-1.783 3.088 0.979
0.000 3.101 6.196
0.000 3.101 13.600
1.806 0.000 8.383
0.903 1.564 0.979
2.622 0.000 11.377
1.311 2.271 3.973
2.749 0.000 3.973
1.375 2.381 11.377
3.566 0.000 0.979
1.783 3.088 8.383
2.686 1.551 6.196
2.686 1.551 13.600
```

Output
final energy = -6.35 eV/atom
magnetic moment = 0.00 μB per atom
energy of formation = -2.592 eV per atom
piezoelectric modulus e_max = 0.6 C/m²